No. 1
VASP calculation (PBE) on a relaxed Sm23Mg4Ni7 crystal.

a = 9.888 Å, b = 9.888 Å, c = 22.389 Å
α = 90.00°, β = 90.00°, γ = 120.00°
Positions (direct):
Sm: 0.000 0.000 0.053
Sm: 0.000 0.000 0.553
Sm: 0.079 0.540 0.138
Sm: 0.085 0.543 0.408
Sm: 0.129 0.257 0.686
Sm: 0.129 0.871 0.686
Sm: 0.205 0.410 0.834
Sm: 0.205 0.795 0.834
Sm: 0.208 0.415 0.271
Sm: 0.208 0.416 0.000
Sm: 0.208 0.792 0.000
Sm: 0.208 0.792 0.271
Sm: 0.211 0.422 0.543
Sm: 0.211 0.789 0.543
Sm: 0.257 0.129 0.186
Sm: 0.333 0.667 0.697
Sm: 0.410 0.205 0.334
Sm: 0.415 0.208 0.771
Sm: 0.416 0.208 0.500
Sm: 0.422 0.211 0.043
Sm: 0.457 0.543 0.408
Sm: 0.457 0.915 0.408
Sm: 0.460 0.540 0.138
Sm: 0.460 0.921 0.138
Sm: 0.540 0.079 0.638
Sm: 0.540 0.460 0.638
Sm: 0.543 0.085 0.908
Sm: 0.543 0.457 0.908
Sm: 0.578 0.789 0.543
Sm: 0.584 0.792 0.000
Sm: 0.585 0.792 0.271
Sm: 0.590 0.795 0.834
Sm: 0.667 0.333 0.197
Sm: 0.743 0.871 0.686
Sm: 0.789 0.211 0.043
Sm: 0.789 0.578 0.043
Sm: 0.792 0.208 0.500
Sm: 0.792 0.208 0.771
Sm: 0.792 0.584 0.500
Sm: 0.792 0.585 0.771
Sm: 0.795 0.205 0.334
Sm: 0.795 0.590 0.334
Sm: 0.871 0.129 0.186
Sm: 0.871 0.743 0.186
Sm: 0.915 0.457 0.908
Sm: 0.921 0.460 0.638
Mg: 0.000 0.000 0.302
Mg: 0.000 0.000 0.802
Mg: 0.106 0.212 0.415
Mg: 0.106 0.894 0.415
Mg: 0.212 0.106 0.915
Mg: 0.788 0.894 0.415
Mg: 0.894 0.106 0.915
Mg: 0.894 0.788 0.915
Ni: 0.042 0.521 0.762
Ni: 0.143 0.287 0.117
Ni: 0.143 0.857 0.117
Ni: 0.287 0.143 0.617
Ni: 0.333 0.667 0.916
Ni: 0.479 0.521 0.762
Ni: 0.479 0.958 0.762
Ni: 0.521 0.042 0.262
Ni: 0.521 0.479 0.262
Ni: 0.667 0.333 0.416
Ni: 0.713 0.857 0.117
Ni: 0.857 0.143 0.617
Ni: 0.857 0.713 0.617
Ni: 0.958 0.479 0.262

## Properties
ΔH_f (0 K) in eV per atom: -0.193
Total moment in μB/atom: 0.0005
ρ in kg/m³: 6948
Crystal system: hexagonal



No. 2
VASP calculation (PBE) on a relaxed La3SbO7 crystal.

a = 7.810 Å, b = 11.211 Å, c = 7.718 Å
α = 90.00°, β = 90.00°, γ = 90.00°
Positions (direct):
La: 0.002 0.250 0.234
La: 0.247 0.022 0.545
La: 0.247 0.478 0.545
La: 0.253 0.522 0.045
La: 0.253 0.978 0.045
La: 0.498 0.750 0.734
La: 0.502 0.250 0.266
La: 0.747 0.022 0.955
La: 0.747 0.478 0.955
La: 0.753 0.522 0.455
La: 0.753 0.978 0.455
La: 0.998 0.750 0.766
Sb: 0.002 0.750 0.248
Sb: 0.498 0.250 0.748
Sb: 0.502 0.750 0.252
Sb: 0.998 0.250 0.752
O: 0.032 0.127 0.940
O: 0.032 0.373 0.940
O: 0.037 0.622 0.426
O: 0.037 0.878 0.426
O: 0.247 0.250 0.671
O: 0.250 0.119 0.274
O: 0.250 0.381 0.274
O: 0.250 0.619 0.774
O: 0.250 0.881 0.774
O: 0.253 0.750 0.171
O: 0.463 0.122 0.926
O: 0.463 0.378 0.926
O: 0.468 0.627 0.440
O: 0.468 0.873 0.440
O: 0.532 0.127 0.560
O: 0.532 0.373 0.560
O: 0.537 0.622 0.074
O: 0.537 0.878 0.074
O: 0.747 0.250 0.829
O: 0.750 0.119 0.226
O: 0.750 0.381 0.226
O: 0.750 0.619 0.726
O: 0.750 0.881 0.726
O: 0.753 0.750 0.329
O: 0.963 0.122 0.574
O: 0.963 0.378 0.574
O: 0.968 0.627 0.060
O: 0.968 0.873 0.060

## Properties
ΔH_f (0 K) in eV per atom: -3.371
Total moment in μB/atom: 0.0000
ρ in kg/m³: 6394
Crystal system: orthorhombic



No. 3
VASP calculation (PBE) on a relaxed NaSb2O2F6 crystal.

a = 6.140 Å, b = 9.232 Å, c = 14.246 Å
α = 90.00°, β = 107.29°, γ = 90.00°
Positions (direct):
Na: 0.153 0.044 0.401
Na: 0.153 0.456 0.901
Na: 0.847 0.544 0.099
Na: 0.847 0.956 0.599
Sb: 0.180 0.657 0.551
Sb: 0.180 0.843 0.051
Sb: 0.446 0.147 0.701
Sb: 0.446 0.353 0.201
Sb: 0.554 0.647 0.799
Sb: 0.554 0.853 0.299
Sb: 0.820 0.157 0.949
Sb: 0.820 0.343 0.449
O: 0.139 0.115 0.682
O: 0.139 0.385 0.182
O: 0.472 0.678 0.654
O: 0.472 0.822 0.154
O: 0.528 0.178 0.846
O: 0.528 0.322 0.346
O: 0.861 0.615 0.818
O: 0.861 0.885 0.318
F: 0.028 0.197 0.875
F: 0.028 0.303 0.375
F: 0.119 0.076 0.062
F: 0.119 0.424 0.562
F: 0.141 0.635 0.016
F: 0.141 0.865 0.516
F: 0.315 0.501 0.775
F: 0.315 0.999 0.275
F: 0.400 0.676 0.311
F: 0.400 0.824 0.811
F: 0.443 0.117 0.563
F: 0.443 0.383 0.063
F: 0.557 0.617 0.937
F: 0.557 0.883 0.437
F: 0.600 0.176 0.189
F: 0.600 0.324 0.689
F: 0.685 0.001 0.725
F: 0.685 0.499 0.225
F: 0.859 0.135 0.484
F: 0.859 0.365 0.984
F: 0.881 0.576 0.438
F: 0.881 0.924 0.938
F: 0.972 0.697 0.625
F: 0.972 0.803 0.125

## Properties
ΔH_f (0 K) in eV per atom: -2.313
Total moment in μB/atom: 0.0000
ρ in kg/m³: 3553
Crystal system: monoclinic



No. 4
VASP calculation (PBE) on a relaxed AgHgSI crystal.

a = 10.371 Å, b = 4.685 Å, c = 10.161 Å
α = 90.00°, β = 90.00°, γ = 90.00°
Positions (direct):
Ag: 0.072 0.000 0.208
Ag: 0.428 0.000 0.208
Ag: 0.572 0.000 0.792
Ag: 0.928 0.000 0.792
Hg: 0.000 0.500 0.500
Hg: 0.250 0.500 0.763
Hg: 0.500 0.500 0.500
Hg: 0.750 0.500 0.237
S: 0.017 0.500 0.739
S: 0.483 0.500 0.739
S: 0.517 0.500 0.261
S: 0.983 0.500 0.261
I: 0.250 0.000 0.463
I: 0.250 0.000 0.995
I: 0.750 0.000 0.005
I: 0.750 0.000 0.537

## Properties
ΔH_f (0 K) in eV per atom: -0.430
Total moment in μB/atom: 0.0000
ρ in kg/m³: 6288
Crystal system: orthorhombic



No. 5
VASP calculation (PBE) on a relaxed Ba2Y3Si2O8F5 crystal.

a = 8.993 Å, b = 12.802 Å, c = 5.158 Å
α = 90.00°, β = 90.00°, γ = 90.00°
Positions (direct):
Ba: 0.148 0.208 0.000
Ba: 0.352 0.708 0.000
Ba: 0.648 0.292 0.000
Ba: 0.852 0.792 0.000
Y: 0.000 0.500 0.988
Y: 0.177 0.940 0.550
Y: 0.323 0.440 0.550
Y: 0.500 0.000 0.988
Y: 0.677 0.560 0.550
Y: 0.823 0.060 0.550
Si: 0.074 0.657 0.555
Si: 0.426 0.157 0.555
Si: 0.574 0.843 0.555
Si: 0.926 0.343 0.555
O: 0.078 0.643 0.241
O: 0.090 0.374 0.679
O: 0.120 0.774 0.657
O: 0.186 0.575 0.712
O: 0.314 0.075 0.712
O: 0.380 0.274 0.657
O: 0.410 0.874 0.679
O: 0.422 0.143 0.241
O: 0.578 0.857 0.241
O: 0.590 0.126 0.679
O: 0.620 0.726 0.657
O: 0.686 0.925 0.712
O: 0.814 0.425 0.712
O: 0.880 0.226 0.657
O: 0.910 0.626 0.679
O: 0.922 0.357 0.241
F: 0.000 0.000 0.835
F: 0.062 0.090 0.382
F: 0.229 0.424 0.153
F: 0.271 0.924 0.153
F: 0.438 0.590 0.382
F: 0.500 0.500 0.835
F: 0.562 0.410 0.382
F: 0.729 0.076 0.153
F: 0.771 0.576 0.153
F: 0.938 0.910 0.382

## Properties
ΔH_f (0 K) in eV per atom: -3.893
Total moment in μB/atom: 0.0001
ρ in kg/m³: 4589
Crystal system: orthorhombic



No. 6
VASP calculation (PBE) on a relaxed TbPt2 crystal.

a = 5.450 Å, b = 5.450 Å, c = 5.450 Å
α = 60.00°, β = 60.00°, γ = 60.00°
Positions (direct):
Tb: 0.125 0.125 0.125
Tb: 0.875 0.875 0.875
Pt: 0.000 0.500 0.500
Pt: 0.500 0.000 0.500
Pt: 0.500 0.500 0.000
Pt: 0.500 0.500 0.500

## Properties
ΔH_f (0 K) in eV per atom: -1.097
ρ in kg/m³: 15929
Crystal system: cubic



No. 7
VASP calculation (PBE) on a relaxed TbCr6Ge6 crystal.

a = 5.117 Å, b = 5.117 Å, c = 8.327 Å
α = 90.00°, β = 90.00°, γ = 120.00°
Positions (direct):
Tb: 0.000 0.000 0.000
Cr: 0.000 0.500 0.251
Cr: 0.000 0.500 0.749
Cr: 0.500 0.000 0.251
Cr: 0.500 0.000 0.749
Cr: 0.500 0.500 0.251
Cr: 0.500 0.500 0.749
Ge: 0.000 0.000 0.346
Ge: 0.000 0.000 0.654
Ge: 0.333 0.667 0.000
Ge: 0.333 0.667 0.500
Ge: 0.667 0.333 0.000
Ge: 0.667 0.333 0.500

## Properties
ΔH_f (0 K) in eV per atom: -0.191
Total moment in μB/atom: 0.0022
ρ in kg/m³: 7976
Crystal system: hexagonal



No. 8
VASP calculation (PBE) on a relaxed Na4HfSi3SnO12 crystal.

a = 9.154 Å, b = 9.154 Å, c = 22.876 Å
α = 90.00°, β = 90.00°, γ = 120.00°
Positions (direct):
Na: 0.000 0.000 0.083
Na: 0.000 0.000 0.583
Na: 0.000 0.366 0.333
Na: 0.000 0.634 0.833
Na: 0.032 0.699 0.166
Na: 0.033 0.333 0.666
Na: 0.301 0.333 0.166
Na: 0.301 0.967 0.666
Na: 0.333 0.301 0.500
Na: 0.333 0.667 0.250
Na: 0.333 0.667 0.750
Na: 0.334 0.033 0.000
Na: 0.366 0.000 0.333
Na: 0.366 0.366 0.833
Na: 0.634 0.000 0.833
Na: 0.634 0.634 0.333
Na: 0.667 0.333 0.416
Na: 0.667 0.333 0.917
Na: 0.667 0.699 0.666
Na: 0.667 0.968 0.166
Na: 0.699 0.033 0.500
Na: 0.699 0.666 0.000
Na: 0.967 0.301 0.000
Na: 0.967 0.667 0.500
Hf: 0.000 0.000 0.232
Hf: 0.000 0.000 0.731
Hf: 0.000 0.000 0.934
Hf: 0.333 0.667 0.102
Hf: 0.333 0.667 0.899
Hf: 0.667 0.333 0.768
Si: 0.000 0.292 0.833
Si: 0.000 0.708 0.333
Si: 0.040 0.666 0.000
Si: 0.042 0.375 0.500
Si: 0.292 0.000 0.833
Si: 0.292 0.293 0.333
Si: 0.333 0.958 0.500
Si: 0.334 0.374 0.000
Si: 0.375 0.335 0.666
Si: 0.376 0.043 0.167
Si: 0.625 0.667 0.500
Si: 0.626 0.960 0.000
Si: 0.665 0.041 0.666
Si: 0.667 0.624 0.167
Si: 0.707 0.000 0.333
Si: 0.708 0.708 0.833
Si: 0.957 0.333 0.167
Si: 0.959 0.625 0.666
Sn: 0.000 0.000 0.434
Sn: 0.333 0.667 0.399
Sn: 0.333 0.667 0.601
Sn: 0.667 0.333 0.065
Sn: 0.667 0.333 0.268
Sn: 0.667 0.333 0.565
O: 0.023 0.835 0.993
O: 0.024 0.187 0.494
O: 0.035 0.206 0.776
O: 0.036 0.829 0.276
O: 0.122 0.495 0.442
O: 0.126 0.631 0.943
O: 0.144 0.501 0.160
O: 0.147 0.643 0.660
O: 0.161 0.455 0.558
O: 0.162 0.702 0.057
O: 0.164 0.976 0.494
O: 0.165 0.188 0.993
O: 0.169 0.479 0.840
O: 0.170 0.690 0.339
O: 0.171 0.207 0.276
O: 0.171 0.965 0.776
O: 0.189 0.024 0.173
O: 0.189 0.166 0.673
O: 0.207 0.035 0.890
O: 0.211 0.172 0.391
O: 0.294 0.839 0.558
O: 0.298 0.460 0.057
O: 0.310 0.480 0.339
O: 0.310 0.831 0.840
O: 0.357 0.504 0.660
O: 0.357 0.856 0.160
O: 0.369 0.495 0.943
O: 0.373 0.878 0.442
O: 0.456 0.162 0.109
O: 0.456 0.294 0.608
O: 0.479 0.169 0.826
O: 0.480 0.310 0.327
O: 0.495 0.123 0.224
O: 0.495 0.369 0.723
O: 0.496 0.853 0.660
O: 0.499 0.643 0.160
O: 0.503 0.146 0.506
O: 0.504 0.357 0.006
O: 0.505 0.627 0.442
O: 0.505 0.874 0.943
O: 0.520 0.830 0.339
O: 0.521 0.690 0.840
O: 0.540 0.838 0.057
O: 0.545 0.706 0.558
O: 0.628 0.505 0.224
O: 0.631 0.126 0.723
O: 0.643 0.147 0.006
O: 0.643 0.497 0.506
O: 0.690 0.170 0.327
O: 0.690 0.521 0.826
O: 0.706 0.162 0.608
O: 0.706 0.544 0.109
O: 0.793 0.964 0.276
O: 0.794 0.829 0.776
O: 0.812 0.977 0.993
O: 0.813 0.836 0.494
O: 0.828 0.039 0.391
O: 0.829 0.793 0.890
O: 0.830 0.520 0.327
O: 0.831 0.310 0.826
O: 0.834 0.023 0.673
O: 0.835 0.811 0.173
O: 0.838 0.294 0.109
O: 0.838 0.544 0.608
O: 0.853 0.496 0.006
O: 0.854 0.357 0.506
O: 0.874 0.505 0.723
O: 0.877 0.372 0.224
O: 0.961 0.789 0.391
O: 0.965 0.171 0.890
O: 0.976 0.165 0.173
O: 0.977 0.811 0.673

## Properties
ΔH_f (0 K) in eV per atom: -2.899
Total moment in μB/atom: 0.0000
ρ in kg/m³: 3994
Crystal system: trigonal



| no. | VASP energy (eV per cell) |
| --- | --- |
| 1 | -323.883 |
| 2 | -343.392 |
| 3 | -209.063 |
| 4 | -38.534 |
| 5 | -306.617 |
| 6 | -40.136 |
| 7 | -92.774 |
| 8 | -885.229 |